Al2O3 | PBE | optimized geometry

```
data_Al2O3
_chemical_formula_sum 'Al40 O60'
_cell_length_a 10.0848
_cell_length_b 10.5557
_cell_length_c 10.6892
_cell_angle_alpha 88.61
_cell_angle_beta 87.01
_cell_angle_gamma 83.51
_symmetry_space_group_name_H-M 'P 1'
_symmetry_Int_Tables_number 1
loop_
_symmetry_equiv_pos_as_xyz
'x,y,z'
loop_
_atom_site_label
_atom_site_fract_x
_atom_site_fract_y
_atom_site_fract_z
Al1 0.0000 0.0000 0.0000
Al2 0.0013 0.1972 0.6361
Al3 0.0454 0.2719 0.9002
Al4 0.0835 0.7883 0.8691
Al5 0.0847 0.9157 0.5562
Al6 0.0992 0.5374 0.2168
Al7 0.1469 0.5579 0.7743
Al8 0.1919 0.1792 0.4215
Al9 0.2148 0.6202 0.4913
Al10 0.2376 0.1696 0.1650
Al11 0.2658 0.3137 0.6795
Al12 0.3227 0.9038 0.0277
Al13 0.3336 0.3802 0.3774
Al14 0.3358 0.6051 0.9932
Al15 0.3441 0.9053 0.4717
Al16 0.3497 0.1679 0.9346
Al17 0.4113 0.3997 0.1168
Al18 0.4573 0.5402 0.6457
Al19 0.4825 0.9775 0.2486
Al20 0.4836 0.6607 0.3627
Al21 0.5460 0.0258 0.5220
Al22 0.5513 0.2527 0.7255
Al23 0.5806 0.6817 0.1128
Al24 0.5953 0.9349 0.9554
Al25 0.6211 0.7864 0.5967
Al26 0.6443 0.2763 0.2480
Al27 0.6696 0.6562 0.8201
Al28 0.6839 0.4207 0.9495
Al29 0.7474 0.4033 0.6615
Al30 0.7482 0.9844 0.1523
Al31 0.7523 0.7234 0.3449
Al32 0.7803 0.1318 0.8610
Al33 0.7884 0.0753 0.5764
Al34 0.8188 0.4709 0.2029
Al35 0.8487 0.8544 0.7791
Al36 0.8980 0.3411 0.4152
Al37 0.9124 0.6155 0.5709
Al38 0.9590 0.0620 0.3155
Al39 0.9632 0.5142 0.9484
Al40 0.9813 0.7939 0.3051
O1 0.0141 0.9178 0.3979
O2 0.0340 0.8396 0.7094
O3 0.0457 0.2704 0.4933
O4 0.0858 0.5848 0.6099
O5 0.0972 0.7071 0.2151
O6 0.1084 0.1227 0.2797
O7 0.1190 0.4274 0.8815
O8 0.1195 0.2425 0.7364
O9 0.1607 0.9075 0.9701
O10 0.1730 0.1786 0.0000
O11 0.2086 0.5162 0.3653
O12 0.2117 0.0289 0.5138
O13 0.2215 0.7868 0.5086
O14 0.2300 0.6672 0.8675
O15 0.2526 0.5028 0.1080
O16 0.2582 0.2713 0.2912
O17 0.3039 0.4774 0.7010
O18 0.3071 0.2871 0.5196
O19 0.3328 0.0072 0.1593
O20 0.3858 0.2307 0.7812
O21 0.3881 0.2415 0.0706
O22 0.4000 0.5765 0.4902
O23 0.4122 0.7490 0.0223
O24 0.4272 0.0032 0.9262
O25 0.4333 0.8282 0.3364
O26 0.4382 0.0502 0.3983
O27 0.4658 0.8960 0.5927
O28 0.4718 0.6018 0.2151
O29 0.4731 0.4744 0.9736
O30 0.4793 0.3587 0.2727
O31 0.5381 0.6659 0.7053
O32 0.5708 0.3988 0.6416
O33 0.5935 0.8751 0.1221
O34 0.6029 0.1501 0.6010
O35 0.6252 0.6921 0.4562
O36 0.6287 0.1003 0.2316
O37 0.6485 0.2630 0.8598
O38 0.6744 0.6058 0.9832
O39 0.6742 0.8219 0.8517
O40 0.7017 0.3674 0.1113
O41 0.7054 0.9303 0.5216
O42 0.7114 0.0408 0.9915
O43 0.7191 0.6267 0.2239
O44 0.7311 0.4945 0.7931
O45 0.7442 0.3707 0.3344
O46 0.7720 0.0147 0.7451
O47 0.7913 0.7208 0.6687
O48 0.8103 0.8548 0.2595
O49 0.8283 0.2461 0.6720
O50 0.8380 0.1528 0.4145
O51 0.8483 0.4678 0.5443
O52 0.8872 0.3717 0.9358
O53 0.9071 0.6889 0.4202
O54 0.9192 0.0330 0.1523
O55 0.9263 0.8725 0.9314
O56 0.9507 0.1316 0.8992
O57 0.9532 0.5425 0.1052
O58 0.9674 0.0465 0.5993
O59 0.9745 0.4319 0.2946
O60 0.9851 0.6439 0.8451
```

calculated total energy = -7.280 eV per atom